[1]
DFT (PBE with a Hubbard U) results for K2Li3MnO4 after structural relaxation.

a = 8.9718 Å, b = 5.5479 Å, c = 10.9851 Å
α = 71.87°, β = 90.00°, γ = 90.00°
Closest atoms and distances in Å follow each position.
Atoms (fractional coordinates):
K  0.7730  0.2854  0.1078  3 O 2.62-2.80
Mn  0.2935  0.0898  0.0577  4 O 1.91-1.98
O  0.6926  0.7467  0.1227  1 Mn 1.91, 3 Li 1.97-2.04
Li  0.4946  0.6207  0.0732  4 O 1.96-2.04
Li  0.7651  0.6214  0.3003  4 O 1.97-2.19
Li  0.7349  0.6214  0.8003  4 O 1.97-2.19
Mn  0.7065  0.9102  0.9423  4 O 1.91-1.98
Li  0.5054  0.3793  0.9268  4 O 1.96-2.04
O  0.9620  0.7474  0.3822  4 Li 1.97-2.19, 1 Mn 1.98
Li  0.5359  0.9051  0.2054  4 O 1.98-2.21
Li  0.9641  0.9051  0.7054  4 O 1.98-2.21
O  0.6081  0.7981  0.3879  1 Mn 1.93, 2 Li 2.01-2.11
O  0.1714  0.7427  0.6541  1 Mn 1.91, 2 Li 1.96-2.01
K  0.5097  0.2920  0.3622  2 Li 2.77-2.88, 6 O 2.79-3.04
O  0.8286  0.2573  0.3459  1 Mn 1.91, 2 Li 1.96-2.01
O  0.3286  0.7427  0.1541  1 Mn 1.91, 2 Li 1.96-2.01
O  0.3074  0.2533  0.8773  1 Mn 1.91, 3 Li 1.97-2.04
K  0.2730  0.7146  0.3922  3 O 2.62-2.80
Li  0.4641  0.0949  0.7946  4 O 1.98-2.21
K  0.9903  0.2920  0.8622  2 Li 2.77-2.88, 6 O 2.79-3.04
K  0.0097  0.7080  0.1378  2 Li 2.77-2.88, 6 O 2.79-3.04
O  0.4620  0.2526  0.1178  4 Li 1.97-2.19, 1 Mn 1.98
O  0.8919  0.7981  0.8879  1 Mn 1.93, 2 Li 2.01-2.11
O  0.1081  0.2019  0.1121  1 Mn 1.93, 2 Li 2.01-2.11
Li  0.0359  0.0949  0.2946  4 O 1.98-2.21
O  0.6714  0.2573  0.8459  1 Mn 1.91, 2 Li 1.96-2.01
Li  0.2349  0.3786  0.6997  4 O 1.97-2.19
K  0.4903  0.7080  0.6378  2 Li 2.77-2.88, 6 O 2.79-3.04
Mn  0.2065  0.0898  0.5577  4 O 1.91-1.98
Li  0.2651  0.3786  0.1997  4 O 1.97-2.19
Li  0.9946  0.3793  0.4268  4 O 1.96-2.04
Li  0.0054  0.6207  0.5732  4 O 1.96-2.04
O  0.5380  0.7474  0.8822  4 Li 1.97-2.19, 1 Mn 1.98
O  0.8074  0.7467  0.6227  1 Mn 1.91, 3 Li 1.97-2.04
O  0.1926  0.2533  0.3773  1 Mn 1.91, 3 Li 1.97-2.04
K  0.7270  0.2854  0.6078  3 O 2.62-2.80
O  0.3919  0.2019  0.6121  1 Mn 1.93, 2 Li 2.01-2.11
O  0.0380  0.2526  0.6178  4 Li 1.97-2.19, 1 Mn 1.98
K  0.2270  0.7146  0.8922  3 O 2.62-2.80
Mn  0.7935  0.9102  0.4423  4 O 1.91-1.98

## Properties
The theoretical density comes out at 2.79 g/cm³. As for the space group: No. 14. For the size of the total moment, the calculation gives 16.00 μB per cell. The value obtained for the formation energy is -1.886 eV/atom. The calculation puts the MP2020-corrected energy at -5.5761 eV/atom. Its final energy is -5.134 eV/atom.

[2]
DFT (PBE with a Hubbard U) results for K4LiMn4O8 after structural relaxation.

a = 3.0190 Å, b = 6.4488 Å, c = 13.8414 Å
α = 90.61°, β = 89.93°, γ = 90.00°
Closest atoms and distances in Å follow each position.
Atoms (fractional coordinates):
O  0.2506  0.2764  0.3524  1 Li 1.95, 2 Mn 2.02
O  0.7499  0.1108  0.0720  3 Mn 2.00-2.21
Mn  0.2498  0.9116  0.0926  5 O 1.97-2.19
O  0.2508  0.8614  0.9360  3 Mn 2.00-2.19
K  0.7504  0.9335  0.3239  5 O 2.70-2.76, 2 K 3.02
Mn  0.7509  0.0597  0.9139  5 O 1.97-2.21
Mn  0.2490  0.5657  0.5886  2 O 2.01
O  0.7486  0.7100  0.6571  2 Mn 2.01
O  0.2500  0.6589  0.4271  2 Mn 2.01
O  0.7493  0.3194  0.5463  2 Li 1.87
K  0.2493  0.4106  0.1550  5 O 2.66-2.88
K  0.2496  0.0471  0.6807  4 O 2.66-2.98, 1 Li 2.85
Li  0.2496  0.1996  0.4883  3 O 1.87-1.95
O  0.2513  0.2227  0.8629  2 Mn 1.97
Mn  0.7503  0.4630  0.3974  4 O 2.01-2.02
K  0.7513  0.5638  0.8421  5 O 2.69-2.76
O  0.7495  0.7483  0.1435  2 Mn 1.97

## Properties
The theoretical density comes out at 3.15 g/cm³. As for the space group: No. 1. For the size of the total moment, the calculation gives 16.99 μB per cell. The value obtained for the formation energy is -1.826 eV/atom. The calculation puts the MP2020-corrected energy at -6.6840 eV/atom. Its final energy is -5.968 eV/atom.

[3]
DFT (PBE with a Hubbard U) results for K4LiMn4O8 after structural relaxation.

a = 3.0176 Å, b = 6.4221 Å, c = 13.3392 Å
α = 84.13°, β = 89.98°, γ = 89.99°
Closest atoms and distances in Å follow each position.
Atoms (fractional coordinates):
O  0.7497  0.3535  0.5542  3 Mn 2.02-2.18
O  0.7495  0.6660  0.6629  2 Mn 1.97
O  0.2497  0.7090  0.4397  2 Mn 2.03
O  0.7503  0.1619  0.0427  3 Mn 2.06-2.22
K  0.2496  0.0187  0.6503  5 O 2.64-2.83
Li  0.2499  0.7017  0.2678  3 O 1.89-2.04
O  0.2505  0.1362  0.8344  2 Mn 1.98
K  0.2505  0.4656  0.1096  4 O 2.69-2.92, 1 Li 2.72
O  0.2505  0.8015  0.9596  2 Mn 2.01
K  0.7498  0.0487  0.3691  5 O 2.71-2.88, 2 K 3.02
O  0.7500  0.8137  0.1964  2 Li 1.89
Mn  0.7498  0.5199  0.4035  5 O 2.01-2.18
Mn  0.2502  0.9713  0.1041  4 O 2.06-2.14
Mn  0.2496  0.5312  0.5993  4 O 1.97-2.02
Mn  0.7505  0.9898  0.9070  5 O 1.98-2.22
K  0.7501  0.4841  0.8558  5 O 2.71-2.99, 2 K 3.02
O  0.2499  0.3981  0.3292  2 Mn 2.01, 1 Li 2.04

## Properties
The theoretical density comes out at 3.30 g/cm³. As for the space group: No. 6. For the size of the total moment, the calculation gives 16.98 μB per cell. The value obtained for the formation energy is -1.826 eV/atom. The calculation puts the MP2020-corrected energy at -6.6837 eV/atom. Its final energy is -5.968 eV/atom.

[4]
DFT (PBE with a Hubbard U) results for KLi2Mn2O4 after structural relaxation.

a = 3.2607 Å, b = 5.4757 Å, c = 12.7493 Å
α = 90.00°, β = 90.00°, γ = 86.92°
Closest atoms and distances in Å follow each position.
Atoms (fractional coordinates):
Mn  0.9996  0.9996  0.9998  4 O 1.98-2.02
Li  0.5250  0.8514  0.8575  3 O 1.85-1.91
O  0.0317  0.7108  0.5976  2 Li 1.87-1.91, 1 Mn 2.01
O  0.5714  0.1636  0.5893  1 Li 1.85, 1 Mn 1.98
Mn  0.4999  0.5003  0.0000  4 O 2.17-2.24
Li  0.4750  0.1487  0.1425  3 O 1.85-1.91
K  0.9496  0.6572  0.2500  6 O 2.79-2.80
O  0.4286  0.8364  0.4107  1 Li 1.85, 1 Mn 1.98
O  0.4286  0.8364  0.0894  1 Li 1.85, 1 Mn 1.98
O  0.9683  0.2892  0.4024  2 Li 1.87-1.91, 1 Mn 2.01
K  0.0504  0.3428  0.7500  6 O 2.79-2.80
O  0.5714  0.1636  0.9107  1 Li 1.85, 1 Mn 1.98
Li  0.4750  0.1486  0.3575  3 O 1.85-1.91
Mn  0.5002  0.4999  0.5001  4 O 2.17-2.24
O  0.9683  0.2892  0.0976  2 Li 1.87-1.91, 1 Mn 2.02
Li  0.5250  0.8514  0.6425  3 O 1.85-1.91
Mn  0.0002  0.0001  0.4999  4 O 1.98-2.01
O  0.0317  0.7108  0.9024  2 Li 1.87-1.91, 1 Mn 2.01

## Properties
The theoretical density comes out at 3.31 g/cm³. As for the space group: No. 11. For the size of the total moment, the calculation gives 0.00 μB per cell. The value obtained for the formation energy is -1.911 eV/atom. The calculation puts the MP2020-corrected energy at -6.6932 eV/atom. Its final energy is -6.017 eV/atom.